# 1
# GGA-PBE Al2Bi7RuBr2Cl8, optimized geometry
# Corrected total energy (MP2020 scheme) in eV per atom: -4.21
data_Al2Bi7RuBr2Cl8
_space_group_name_H-M_alt 'P 1'
_space_group_IT_number 1
_cell_length_a 18.456
_cell_length_b 10.056
_cell_length_c 15.160
_cell_angle_alpha 69.97
_cell_angle_beta 90.00
_cell_angle_gamma 90.00
loop_
_space_group_symop_operation_xyz
'x,y,z'
loop_
_atom_site_label
_atom_site_fract_x
_atom_site_fract_y
_atom_site_fract_z
_atom_site_occupancy
Al1 0.321 0.358 0.943 1
Al2 0.179 0.358 0.443 1
Al3 0.679 0.642 0.057 1
Al4 0.821 0.642 0.557 1
Al5 0.369 0.678 0.155 1
Al6 0.131 0.678 0.655 1
Al7 0.631 0.322 0.845 1
Al8 0.869 0.322 0.345 1
Bi1 0.904 0.144 0.030 1
Bi2 0.596 0.144 0.530 1
Bi3 0.096 0.856 0.970 1
Bi4 0.404 0.856 0.470 1
Bi5 0.929 0.788 0.077 1
Bi6 0.571 0.788 0.577 1
Bi7 0.071 0.212 0.923 1
Bi8 0.429 0.212 0.423 1
Bi9 0.182 0.014 0.142 1
Bi10 0.318 0.014 0.642 1
Bi11 0.818 0.986 0.858 1
Bi12 0.682 0.986 0.358 1
Bi13 0.095 0.737 0.237 1
Bi14 0.405 0.737 0.737 1
Bi15 0.905 0.263 0.763 1
Bi16 0.595 0.263 0.263 1
Bi17 0.970 0.912 0.276 1
Bi18 0.530 0.912 0.776 1
Bi19 0.030 0.088 0.724 1
Bi20 0.470 0.088 0.224 1
Bi21 0.058 0.188 0.188 1
Bi22 0.442 0.188 0.688 1
Bi23 0.942 0.812 0.812 1
Bi24 0.558 0.812 0.312 1
Bi25 0.128 0.943 0.355 1
Bi26 0.372 0.943 0.855 1
Bi27 0.872 0.057 0.645 1
Bi28 0.628 0.057 0.145 1
Ru1 0.034 0.989 0.089 1
Ru2 0.466 0.989 0.589 1
Ru3 0.966 0.011 0.911 1
Ru4 0.534 0.011 0.411 1
Br1 0.805 0.923 0.145 1
Br2 0.695 0.923 0.645 1
Br3 0.195 0.077 0.855 1
Br4 0.305 0.077 0.355 1
Br5 0.040 0.571 0.088 1
Br6 0.460 0.571 0.588 1
Br7 0.960 0.429 0.912 1
Br8 0.540 0.429 0.412 1
Cl1 0.402 0.500 0.962 1
Cl2 0.098 0.500 0.462 1
Cl3 0.598 0.500 0.038 1
Cl4 0.902 0.500 0.538 1
Cl5 0.352 0.139 0.016 1
Cl6 0.148 0.139 0.516 1
Cl7 0.648 0.861 0.984 1
Cl8 0.852 0.861 0.484 1
Cl9 0.313 0.398 0.795 1
Cl10 0.187 0.398 0.295 1
Cl11 0.687 0.602 0.205 1
Cl12 0.813 0.602 0.705 1
Cl13 0.217 0.387 0.003 1
Cl14 0.283 0.387 0.503 1
Cl15 0.783 0.613 0.997 1
Cl16 0.717 0.613 0.497 1
Cl17 0.274 0.728 0.065 1
Cl18 0.226 0.728 0.565 1
Cl19 0.726 0.272 0.935 1
Cl20 0.774 0.272 0.435 1
Cl21 0.460 0.796 0.076 1
Cl22 0.040 0.796 0.576 1
Cl23 0.540 0.204 0.924 1
Cl24 0.960 0.204 0.424 1
Cl25 0.392 0.454 0.206 1
Cl26 0.108 0.454 0.706 1
Cl27 0.608 0.546 0.794 1
Cl28 0.892 0.546 0.294 1
Cl29 0.348 0.751 0.272 1
Cl30 0.152 0.751 0.772 1
Cl31 0.652 0.249 0.728 1
Cl32 0.848 0.249 0.228 1


# 2
# GGA-PBE Al2Bi7RuBr2Cl8, optimized geometry
# Corrected total energy (MP2020 scheme) in eV per atom: -4.21
data_Al2Bi7RuBr2Cl8
_space_group_name_H-M_alt 'P 1'
_space_group_IT_number 1
_cell_length_a 14.764
_cell_length_b 11.901
_cell_length_c 18.173
_cell_angle_alpha 57.49
_cell_angle_beta 90.00
_cell_angle_gamma 90.00
loop_
_space_group_symop_operation_xyz
'x,y,z'
loop_
_atom_site_label
_atom_site_fract_x
_atom_site_fract_y
_atom_site_fract_z
_atom_site_occupancy
Al1 0.189 0.470 0.583 1
Al2 0.311 0.470 0.083 1
Al3 0.811 0.530 0.417 1
Al4 0.689 0.530 0.917 1
Al5 0.533 0.803 0.194 1
Al6 0.967 0.803 0.694 1
Al7 0.467 0.197 0.806 1
Al8 0.033 0.197 0.306 1
Bi1 0.134 0.105 0.910 1
Bi2 0.366 0.105 0.410 1
Bi3 0.866 0.895 0.090 1
Bi4 0.634 0.895 0.590 1
Bi5 0.005 0.830 0.964 1
Bi6 0.495 0.830 0.464 1
Bi7 0.995 0.170 0.036 1
Bi8 0.505 0.170 0.536 1
Bi9 0.960 0.152 0.747 1
Bi10 0.540 0.152 0.247 1
Bi11 0.040 0.848 0.253 1
Bi12 0.460 0.848 0.753 1
Bi13 0.788 0.012 0.857 1
Bi14 0.712 0.012 0.357 1
Bi15 0.212 0.988 0.143 1
Bi16 0.288 0.988 0.643 1
Bi17 0.777 0.223 0.906 1
Bi18 0.723 0.223 0.406 1
Bi19 0.223 0.777 0.094 1
Bi20 0.277 0.777 0.594 1
Bi21 0.944 0.368 0.792 1
Bi22 0.556 0.368 0.292 1
Bi23 0.056 0.632 0.208 1
Bi24 0.444 0.632 0.708 1
Bi25 0.775 0.316 0.706 1
Bi26 0.725 0.316 0.206 1
Bi27 0.225 0.684 0.294 1
Bi28 0.275 0.684 0.794 1
Ru1 0.943 0.082 0.925 1
Ru2 0.557 0.082 0.425 1
Ru3 0.057 0.918 0.075 1
Ru4 0.443 0.918 0.575 1
Br1 0.164 0.918 0.849 1
Br2 0.336 0.918 0.349 1
Br3 0.836 0.082 0.151 1
Br4 0.664 0.082 0.651 1
Br5 0.837 0.688 0.054 1
Br6 0.663 0.688 0.554 1
Br7 0.163 0.312 0.946 1
Br8 0.337 0.312 0.446 1
Cl1 0.167 0.445 0.709 1
Cl2 0.333 0.445 0.209 1
Cl3 0.833 0.555 0.291 1
Cl4 0.667 0.555 0.791 1
Cl5 0.329 0.520 0.549 1
Cl6 0.171 0.520 0.049 1
Cl7 0.671 0.480 0.451 1
Cl8 0.829 0.480 0.951 1
Cl9 0.111 0.639 0.487 1
Cl10 0.389 0.639 0.987 1
Cl11 0.889 0.361 0.513 1
Cl12 0.611 0.361 0.013 1
Cl13 0.146 0.291 0.592 1
Cl14 0.354 0.291 0.092 1
Cl15 0.854 0.709 0.408 1
Cl16 0.646 0.709 0.908 1
Cl17 0.598 0.726 0.125 1
Cl18 0.902 0.726 0.625 1
Cl19 0.402 0.274 0.875 1
Cl20 0.098 0.274 0.375 1
Cl21 0.635 0.857 0.256 1
Cl22 0.865 0.857 0.756 1
Cl23 0.365 0.143 0.744 1
Cl24 0.135 0.143 0.244 1
Cl25 0.450 0.974 0.111 1
Cl26 0.050 0.974 0.611 1
Cl27 0.550 0.026 0.889 1
Cl28 0.950 0.026 0.389 1
Cl29 0.450 0.647 0.298 1
Cl30 0.050 0.647 0.798 1
Cl31 0.550 0.353 0.702 1
Cl32 0.950 0.353 0.202 1


# 3
# GGA-PBE AlBi2Se2BrCl4, optimized geometry
# Corrected total energy (MP2020 scheme) in eV per atom: -3.97
data_AlBi2Se2BrCl4
_space_group_name_H-M_alt 'P 1'
_space_group_IT_number 1
_cell_length_a 7.073
_cell_length_b 8.343
_cell_length_c 11.561
_cell_angle_alpha 69.10
_cell_angle_beta 73.75
_cell_angle_gamma 72.90
loop_
_space_group_symop_operation_xyz
'x,y,z'
loop_
_atom_site_label
_atom_site_fract_x
_atom_site_fract_y
_atom_site_fract_z
_atom_site_occupancy
Al1 0.832 0.771 0.540 1
Al2 0.168 0.229 0.460 1
Bi1 0.718 0.387 0.871 1
Bi2 0.282 0.613 0.129 1
Bi3 0.282 0.122 0.121 1
Bi4 0.718 0.878 0.879 1
Se1 0.564 0.292 0.132 1
Se2 0.436 0.708 0.868 1
Se3 0.444 0.207 0.859 1
Se4 0.556 0.793 0.141 1
Br1 0.000 0.000 0.000 1
Br2 0.000 0.500 0.000 1
Cl1 0.051 0.651 0.661 1
Cl2 0.949 0.349 0.339 1
Cl3 0.945 0.845 0.338 1
Cl4 0.055 0.155 0.662 1
Cl5 0.649 0.580 0.588 1
Cl6 0.351 0.420 0.412 1
Cl7 0.337 0.995 0.405 1
Cl8 0.663 0.005 0.595 1


# 4
# GGA-PBE AlBi2Te2BrCl4, optimized geometry
# Corrected total energy (MP2020 scheme) in eV per atom: -3.85
data_AlBi2Te2BrCl4
_space_group_name_H-M_alt 'P 1'
_space_group_IT_number 1
_cell_length_a 11.655
_cell_length_b 11.655
_cell_length_c 13.778
_cell_angle_alpha 81.59
_cell_angle_beta 81.59
_cell_angle_gamma 43.82
loop_
_space_group_symop_operation_xyz
'x,y,z'
loop_
_atom_site_label
_atom_site_fract_x
_atom_site_fract_y
_atom_site_fract_z
_atom_site_occupancy
Al1 0.610 0.856 0.827 1
Al2 0.144 0.390 0.673 1
Al3 0.390 0.144 0.173 1
Al4 0.856 0.610 0.327 1
Bi1 0.688 0.445 0.890 1
Bi2 0.555 0.312 0.610 1
Bi3 0.312 0.555 0.110 1
Bi4 0.445 0.688 0.390 1
Bi5 0.811 0.067 0.111 1
Bi6 0.933 0.189 0.389 1
Bi7 0.189 0.933 0.889 1
Bi8 0.067 0.811 0.611 1
Te1 0.555 0.301 0.960 1
Te2 0.699 0.445 0.540 1
Te3 0.445 0.699 0.040 1
Te4 0.301 0.555 0.460 1
Te5 0.954 0.201 0.035 1
Te6 0.799 0.046 0.465 1
Te7 0.046 0.799 0.965 1
Te8 0.201 0.954 0.535 1
Br1 0.125 0.875 0.250 1
Br2 0.875 0.125 0.750 1
Br3 0.625 0.375 0.250 1
Br4 0.375 0.625 0.750 1
Cl1 0.793 0.636 0.918 1
Cl2 0.364 0.207 0.582 1
Cl3 0.207 0.364 0.082 1
Cl4 0.636 0.793 0.418 1
Cl5 0.374 0.040 0.908 1
Cl6 0.960 0.626 0.592 1
Cl7 0.626 0.960 0.092 1
Cl8 0.040 0.374 0.408 1
Cl9 0.558 0.783 0.720 1
Cl10 0.217 0.442 0.780 1
Cl11 0.442 0.217 0.280 1
Cl12 0.783 0.558 0.220 1
Cl13 0.703 0.960 0.769 1
Cl14 0.040 0.297 0.731 1
Cl15 0.297 0.040 0.231 1
Cl16 0.960 0.703 0.269 1


# 5
Ca5Al2Bi6: optimized geometry, GGA-PBE.

Geometry as CIF:
```
data_Ca5Al2Bi6
_space_group_name_H-M_alt 'P 1'
_space_group_IT_number 1
_cell_length_a 4.588
_cell_length_b 7.588
_cell_length_c 23.580
_cell_angle_alpha 90.00
_cell_angle_beta 90.00
_cell_angle_gamma 90.00
loop_
_space_group_symop_operation_xyz
'x,y,z'
loop_
_atom_site_label
_atom_site_fract_x
_atom_site_fract_y
_atom_site_fract_z
_atom_site_occupancy
Ca1 0.000 0.535 0.411 1
Ca2 0.000 0.465 0.589 1
Ca3 0.000 0.035 0.089 1
Ca4 0.000 0.965 0.911 1
Ca5 0.000 0.271 0.755 1
Ca6 0.000 0.729 0.245 1
Ca7 0.000 0.771 0.745 1
Ca8 0.000 0.229 0.255 1
Ca9 0.000 0.500 0.000 1
Ca10 0.000 0.000 0.500 1
Al1 0.500 0.818 0.621 1
Al2 0.500 0.182 0.379 1
Al3 0.500 0.318 0.879 1
Al4 0.500 0.682 0.121 1
Bi1 0.000 0.037 0.636 1
Bi2 0.000 0.963 0.364 1
Bi3 0.000 0.537 0.864 1
Bi4 0.000 0.463 0.136 1
Bi5 0.500 0.989 0.188 1
Bi6 0.500 0.011 0.812 1
Bi7 0.500 0.489 0.312 1
Bi8 0.500 0.511 0.688 1
Bi9 0.500 0.793 0.003 1
Bi10 0.500 0.207 0.997 1
Bi11 0.500 0.293 0.497 1
Bi12 0.500 0.707 0.503 1
```


# 6
# GGA-PBE CaEuAlBiO6, optimized geometry
# Corrected total energy (MP2020 scheme) in eV per atom: -7.55
# Offset from the most stable computed form in meV/atom: 0
data_CaEuAlBiO6
_space_group_name_H-M_alt 'P 1'
_space_group_IT_number 1
_cell_length_a 5.724
_cell_length_b 5.724
_cell_length_c 5.724
_cell_angle_alpha 60.00
_cell_angle_beta 60.00
_cell_angle_gamma 60.00
loop_
_space_group_symop_operation_xyz
'x,y,z'
loop_
_atom_site_label
_atom_site_fract_x
_atom_site_fract_y
_atom_site_fract_z
_atom_site_occupancy
Ca1 0.750 0.750 0.750 1
Eu1 0.250 0.250 0.250 1
Al1 0.000 0.000 0.000 1
Bi1 0.500 0.500 0.500 1
O1 0.762 0.238 0.238 1
O2 0.238 0.762 0.762 1
O3 0.762 0.238 0.762 1
O4 0.238 0.762 0.238 1
O5 0.762 0.762 0.238 1
O6 0.238 0.238 0.762 1


# 7
# GGA-PBE CaEuAlBiO6, optimized geometry
# Corrected total energy (MP2020 scheme) in eV per atom: -7.17
# Offset from the most stable computed form in meV/atom: 387
data_CaEuAlBiO6
_space_group_name_H-M_alt 'P 1'
_space_group_IT_number 1
_cell_length_a 8.792
_cell_length_b 8.749
_cell_length_c 8.549
_cell_angle_alpha 90.00
_cell_angle_beta 90.00
_cell_angle_gamma 90.00
loop_
_space_group_symop_operation_xyz
'x,y,z'
loop_
_atom_site_label
_atom_site_fract_x
_atom_site_fract_y
_atom_site_fract_z
_atom_site_occupancy
Ca1 0.000 0.000 0.000 1
Ca2 0.500 0.500 0.500 1
Ca3 0.500 0.000 0.500 1
Ca4 0.000 0.000 0.500 1
Eu1 0.000 0.500 0.500 1
Eu2 0.500 0.500 0.000 1
Eu3 0.500 0.000 0.000 1
Eu4 0.000 0.500 0.000 1
Al1 0.749 0.754 0.745 1
Al2 0.251 0.246 0.745 1
Al3 0.251 0.754 0.255 1
Al4 0.749 0.246 0.255 1
Bi1 0.250 0.240 0.261 1
Bi2 0.750 0.760 0.261 1
Bi3 0.750 0.240 0.739 1
Bi4 0.250 0.760 0.739 1
O1 0.983 0.222 0.276 1
O2 0.017 0.778 0.276 1
O3 0.017 0.222 0.724 1
O4 0.983 0.778 0.724 1
O5 0.278 0.985 0.218 1
O6 0.278 0.015 0.782 1
O7 0.722 0.015 0.218 1
O8 0.722 0.985 0.782 1
O9 0.224 0.275 0.982 1
O10 0.776 0.275 0.018 1
O11 0.224 0.725 0.018 1
O12 0.776 0.725 0.982 1
O13 0.519 0.278 0.222 1
O14 0.481 0.722 0.222 1
O15 0.481 0.278 0.778 1
O16 0.519 0.722 0.778 1
O17 0.225 0.519 0.276 1
O18 0.225 0.481 0.724 1
O19 0.775 0.481 0.276 1
O20 0.775 0.519 0.724 1
O21 0.279 0.224 0.513 1
O22 0.721 0.224 0.487 1
O23 0.279 0.776 0.487 1
O24 0.721 0.776 0.513 1


# 8
# GGA-PBE Al3Bi5Cl12, optimized geometry
# Corrected total energy (MP2020 scheme) in eV per atom: -4.12
data_Al3Bi5Cl12
_space_group_name_H-M_alt 'P 1'
_space_group_IT_number 1
_cell_length_a 12.399
_cell_length_b 12.399
_cell_length_c 12.399
_cell_angle_alpha 58.10
_cell_angle_beta 58.10
_cell_angle_gamma 58.10
loop_
_space_group_symop_operation_xyz
'x,y,z'
loop_
_atom_site_label
_atom_site_fract_x
_atom_site_fract_y
_atom_site_fract_z
_atom_site_occupancy
Al1 0.229 0.750 0.271 1
Al2 0.771 0.250 0.729 1
Al3 0.729 0.771 0.250 1
Al4 0.271 0.229 0.750 1
Al5 0.250 0.729 0.771 1
Al6 0.750 0.271 0.229 1
Bi1 0.908 0.592 0.750 1
Bi2 0.672 0.672 0.672 1
Bi3 0.172 0.172 0.172 1
Bi4 0.408 0.250 0.092 1
Bi5 0.328 0.328 0.328 1
Bi6 0.092 0.408 0.250 1
Bi7 0.828 0.828 0.828 1
Bi8 0.592 0.750 0.908 1
Bi9 0.750 0.908 0.592 1
Bi10 0.250 0.092 0.408 1
Cl1 0.076 0.696 0.954 1
Cl2 0.107 0.272 0.701 1
Cl3 0.454 0.196 0.576 1
Cl4 0.701 0.107 0.272 1
Cl5 0.696 0.954 0.076 1
Cl6 0.304 0.046 0.924 1
Cl7 0.728 0.299 0.893 1
Cl8 0.893 0.728 0.299 1
Cl9 0.576 0.454 0.196 1
Cl10 0.201 0.772 0.607 1
Cl11 0.954 0.076 0.696 1
Cl12 0.046 0.924 0.304 1
Cl13 0.272 0.701 0.107 1
Cl14 0.546 0.804 0.424 1
Cl15 0.804 0.424 0.546 1
Cl16 0.299 0.893 0.728 1
Cl17 0.772 0.607 0.201 1
Cl18 0.393 0.799 0.228 1
Cl19 0.228 0.393 0.799 1
Cl20 0.924 0.304 0.046 1
Cl21 0.799 0.228 0.393 1
Cl22 0.196 0.576 0.454 1
Cl23 0.607 0.201 0.772 1
Cl24 0.424 0.546 0.804 1


Number 1: calculated density 5.18 Mg/m³, formation energy -1.11 eV/atom. Number 2: calculated density 5.08 Mg/m³, formation energy -1.11 eV/atom. Number 3: calculated density 4.58 Mg/m³, formation energy -1.22 eV/atom. Number 4: calculated density 4.78 Mg/m³, formation energy -1.17 eV/atom. Number 5: calculated density 6.10 Mg/m³, formation energy -0.59 eV/atom. Number 6: calculated density 6.56 Mg/m³, formation energy -2.60 eV/atom. Number 7: calculated density 5.29 Mg/m³, formation energy -2.21 eV/atom. Number 8: calculated density 4.00 Mg/m³, formation energy -1.47 eV/atom.